# 1
First-principles (PBE-GGA) data for a relaxed structure of Cr2AsSe, as listed in the Materials Project database.

```
Cr2AsSe
1.0
3.875 0.000 0.000
-1.938 3.356 0.000
0.000 0.000 4.855
Cr As Se
2 1 1
direct
0.000 0.000 0.229
0.000 0.000 0.771
0.667 0.333 0.000
0.333 0.667 0.500
```

As for the total energy: -6.8767 eV/atom. Its space group is P-6m2, No. 187. The calculated formation energy comes out at -0.129 eV per atom. For the total moment, the calculation gives 1.33 Bohr magnetons per cell.

=====

# 2
First-principles (PBE-GGA) data for a relaxed structure of Cr2AsSe, as listed in the Materials Project database.

```
Cr2AsSe
1.0
3.766 0.000 0.000
-1.883 3.262 0.000
0.000 0.000 6.234
Cr As Se
2 1 1
direct
0.000 0.000 0.242
0.000 0.000 0.758
0.667 0.333 0.000
0.333 0.667 0.500
```

As for the total energy: -7.0699 eV/atom. Its space group is P-6m2, No. 187. The calculated formation energy comes out at -0.323 eV per atom. For the total moment, the calculation gives 6.97 Bohr magnetons per cell.

=====

# 3
First-principles (PBE-GGA) data for a relaxed structure of Cs3As11, as listed in the Materials Project database.

```
Cs3As11
1.0
6.780 -7.867 0.000
6.780 7.867 0.000
-1.762 0.000 19.834
Cs As
12 44
direct
0.025 0.745 0.120
0.203 0.711 0.609
0.255 0.975 0.380
0.289 0.797 0.891
0.305 0.470 0.371
0.470 0.305 0.871
0.530 0.695 0.129
0.695 0.530 0.629
0.711 0.203 0.109
0.745 0.025 0.620
0.797 0.289 0.391
0.975 0.255 0.880
0.010 0.637 0.397
0.024 0.285 0.245
0.053 0.149 0.059
0.068 0.392 0.070
0.070 0.094 0.181
0.094 0.070 0.681
0.114 0.310 0.701
0.118 0.271 0.520
0.149 0.053 0.559
0.166 0.442 0.186
0.252 0.476 0.006
0.271 0.118 0.020
0.285 0.024 0.745
0.310 0.114 0.201
0.336 0.397 0.554
0.350 0.376 0.679
0.363 0.990 0.103
0.376 0.350 0.179
0.392 0.068 0.570
0.397 0.336 0.054
0.442 0.166 0.686
0.476 0.252 0.506
0.524 0.748 0.494
0.558 0.834 0.314
0.603 0.664 0.946
0.608 0.932 0.430
0.624 0.650 0.821
0.637 0.010 0.897
0.650 0.624 0.321
0.664 0.603 0.446
0.690 0.886 0.799
0.715 0.976 0.255
0.729 0.882 0.980
0.748 0.524 0.994
0.834 0.558 0.814
0.851 0.947 0.441
0.882 0.729 0.480
0.886 0.690 0.299
0.906 0.930 0.319
0.930 0.906 0.819
0.932 0.608 0.930
0.947 0.851 0.941
0.976 0.715 0.755
0.990 0.363 0.603
```

As for the total energy: -4.1463 eV/atom. Its space group is C2/c, No. 15. The calculated formation energy comes out at -0.294 eV per atom.

=====

# 4
First-principles (PBE-GGA) data for a relaxed structure of Cs3As7, as listed in the Materials Project database.

```
Cs3As7
1.0
10.467 0.000 0.000
0.000 13.535 0.000
0.000 0.000 22.634
Cs As
24 56
direct
0.100 0.226 0.121
0.100 0.274 0.621
0.196 0.027 0.769
0.196 0.473 0.269
0.235 0.050 0.478
0.235 0.450 0.978
0.265 0.550 0.478
0.265 0.950 0.978
0.304 0.527 0.769
0.304 0.973 0.269
0.400 0.726 0.121
0.400 0.774 0.621
0.600 0.226 0.379
0.600 0.274 0.879
0.696 0.027 0.731
0.696 0.473 0.231
0.735 0.050 0.022
0.735 0.450 0.522
0.765 0.550 0.022
0.765 0.950 0.522
0.804 0.527 0.731
0.804 0.973 0.231
0.900 0.726 0.379
0.900 0.774 0.879
0.032 0.164 0.948
0.032 0.336 0.448
0.054 0.622 0.143
0.054 0.878 0.643
0.073 0.720 0.705
0.073 0.780 0.205
0.079 0.679 0.044
0.079 0.821 0.544
0.092 0.590 0.634
0.092 0.910 0.134
0.146 0.204 0.316
0.146 0.296 0.816
0.232 0.206 0.897
0.232 0.294 0.397
0.268 0.706 0.897
0.268 0.794 0.397
0.354 0.704 0.316
0.354 0.796 0.816
0.408 0.090 0.634
0.408 0.410 0.134
0.421 0.179 0.044
0.421 0.321 0.544
0.427 0.220 0.705
0.427 0.280 0.205
0.446 0.122 0.143
0.446 0.378 0.643
0.468 0.664 0.948
0.468 0.836 0.448
0.532 0.164 0.552
0.532 0.336 0.052
0.554 0.622 0.357
0.554 0.878 0.857
0.573 0.720 0.795
0.573 0.780 0.295
0.579 0.679 0.456
0.579 0.821 0.956
0.592 0.590 0.866
0.592 0.910 0.366
0.646 0.204 0.184
0.646 0.296 0.684
0.732 0.206 0.603
0.732 0.294 0.103
0.768 0.706 0.603
0.768 0.794 0.103
0.854 0.704 0.184
0.854 0.796 0.684
0.908 0.090 0.866
0.908 0.410 0.366
0.921 0.179 0.456
0.921 0.321 0.956
0.927 0.220 0.795
0.927 0.280 0.295
0.946 0.122 0.357
0.946 0.378 0.857
0.968 0.664 0.552
0.968 0.836 0.052
```

As for the total energy: -3.9186 eV/atom. Its space group is Pbca, No. 61. The calculated formation energy comes out at -0.389 eV per atom. For the total moment, the calculation gives 0.00 Bohr magnetons per cell.

=====

# 5
First-principles (PBE-GGA) data for a relaxed structure of CsAs4F13, as listed in the Materials Project database.

```
CsAs4F13
1.0
-4.895 4.895 3.427
4.895 -4.895 3.427
4.895 4.895 -3.427
Cs As F
1 4 13
direct
0.000 0.000 0.000
0.212 0.501 0.676
0.465 0.788 0.289
0.499 0.175 0.711
0.825 0.535 0.324
0.007 0.277 0.436
0.169 0.526 0.126
0.195 0.286 0.755
0.250 0.750 0.500
0.400 0.043 0.874
0.428 0.993 0.270
0.474 0.600 0.643
0.532 0.441 0.245
0.559 0.805 0.091
0.714 0.468 0.909
0.723 0.159 0.730
0.841 0.572 0.564
0.957 0.831 0.357
```

As for the total energy: -4.7048 eV/atom. Its space group is I-4, No. 82. The calculated formation energy comes out at -2.571 eV per atom. The piezoelectric modulus e_max comes out at 1.00 C/m2.

=====

# 6
First-principles (PBE-GGA) data for a relaxed structure of CsAsF6, as listed in the Materials Project database.

```
CsAsF6
1.0
3.976 2.295 2.714
-3.976 2.295 2.714
0.000 -4.591 2.714
Cs As F
1 1 6
direct
0.000 0.000 0.000
0.500 0.500 0.500
0.235 0.305 0.579
0.305 0.579 0.235
0.421 0.765 0.695
0.579 0.235 0.305
0.695 0.421 0.765
0.765 0.695 0.421
```

As for the total energy: -4.5524 eV/atom. Its space group is R-3, No. 148. The calculated formation energy comes out at -2.769 eV per atom.

=====

# 7
First-principles (PBE-GGA) data for a relaxed structure of Cs2InAsF6, as listed in the Materials Project database.

```
Cs2InAsF6
1.0
0.000 4.753 4.753
4.753 0.000 4.753
4.753 4.753 0.000
Cs In As F
2 1 1 6
direct
0.250 0.250 0.250
0.750 0.750 0.750
0.000 0.000 0.000
0.500 0.500 0.500
0.281 0.281 0.719
0.281 0.719 0.281
0.281 0.719 0.719
0.719 0.281 0.281
0.719 0.281 0.719
0.719 0.719 0.281
```

As for the total energy: -4.3467 eV/atom. Its space group is Fm-3m, No. 225. The calculated formation energy comes out at -2.555 eV per atom. For the total moment, the calculation gives 0.00 Bohr magnetons per cell.

=====

# 8
First-principles (PBE-GGA) data for a relaxed structure of Cs2KAsF6, as listed in the Materials Project database.

```
Cs2KAsF6
1.0
0.000 4.706 4.706
4.706 0.000 4.706
4.706 4.706 0.000
Cs K As F
2 1 1 6
direct
0.250 0.250 0.250
0.750 0.750 0.750
0.000 0.000 0.000
0.500 0.500 0.500
0.278 0.278 0.722
0.278 0.722 0.278
0.278 0.722 0.722
0.722 0.278 0.278
0.722 0.278 0.722
0.722 0.722 0.278
```

As for the total energy: -4.4332 eV/atom. Its space group is Fm-3m, No. 225. The calculated formation energy comes out at -2.806 eV per atom. For the total moment, the calculation gives 0.00 Bohr magnetons per cell.

=====

# 9
First-principles (PBE-GGA) data for a relaxed structure of CsScAsO4F, as listed in the Materials Project database.

```
CsScAsO4F
1.0
10.741 0.000 0.000
0.000 10.354 0.000
0.000 0.000 10.507
Cs Sc As O F
8 8 8 32 8
direct
0.120 0.084 0.000
0.159 0.252 0.325
0.341 0.752 0.825
0.380 0.584 0.500
0.620 0.416 0.000
0.659 0.248 0.325
0.841 0.748 0.825
0.880 0.916 0.500
0.063 0.767 0.191
0.185 0.072 0.636
0.315 0.572 0.136
0.437 0.267 0.691
0.563 0.733 0.191
0.685 0.428 0.636
0.815 0.928 0.136
0.937 0.233 0.691
0.059 0.444 0.984
0.118 0.470 0.713
0.382 0.970 0.213
0.441 0.944 0.484
0.559 0.056 0.984
0.618 0.030 0.713
0.882 0.530 0.213
0.941 0.556 0.484
0.011 0.570 0.105
0.044 0.162 0.563
0.044 0.664 0.537
0.050 0.561 0.855
0.052 0.945 0.279
0.058 0.975 0.744
0.087 0.328 0.806
0.214 0.437 0.028
0.286 0.937 0.528
0.413 0.828 0.306
0.442 0.475 0.244
0.448 0.445 0.779
0.450 0.061 0.355
0.456 0.164 0.037
0.456 0.662 0.063
0.489 0.070 0.605
0.511 0.930 0.105
0.544 0.338 0.563
0.544 0.836 0.537
0.550 0.939 0.855
0.552 0.555 0.279
0.558 0.525 0.744
0.587 0.172 0.806
0.714 0.063 0.028
0.786 0.563 0.528
0.913 0.672 0.306
0.942 0.025 0.244
0.948 0.055 0.779
0.950 0.439 0.355
0.956 0.336 0.037
0.956 0.838 0.063
0.989 0.430 0.605
0.198 0.620 0.282
0.220 0.758 0.081
0.280 0.258 0.581
0.302 0.120 0.782
0.698 0.880 0.282
0.720 0.742 0.081
0.780 0.242 0.581
0.802 0.380 0.782
```

As for the total energy: -6.2776 eV/atom. Its space group is Pna2_1, No. 33. The calculated formation energy comes out at -2.369 eV per atom. For the total moment, the calculation gives 0.00 Bohr magnetons per cell.

=====

# 10
First-principles (PBE-GGA) data for a relaxed structure of Cs2RbAsF6, as listed in the Materials Project database.

```
Cs2RbAsF6
1.0
0.000 4.795 4.795
4.795 0.000 4.795
4.795 4.795 0.000
Cs Rb As F
2 1 1 6
direct
0.250 0.250 0.250
0.750 0.750 0.750
0.000 0.000 0.000
0.500 0.500 0.500
0.283 0.283 0.717
0.283 0.717 0.283
0.283 0.717 0.717
0.717 0.283 0.283
0.717 0.283 0.717
0.717 0.717 0.283
```

As for the total energy: -4.3975 eV/atom. Its space group is Fm-3m, No. 225. The calculated formation energy comes out at -2.783 eV per atom. For the total moment, the calculation gives 0.00 Bohr magnetons per cell.

=====

# 11
First-principles (PBE-GGA) data for a relaxed structure of Cs2TlAsF6, as listed in the Materials Project database.

```
Cs2TlAsF6
1.0
0.000 4.790 4.790
4.790 0.000 4.790
4.790 4.790 0.000
Cs Tl As F
2 1 1 6
direct
0.250 0.250 0.250
0.750 0.750 0.750
0.000 0.000 0.000
0.500 0.500 0.500
0.283 0.283 0.717
0.283 0.717 0.283
0.283 0.717 0.717
0.717 0.283 0.283
0.717 0.283 0.717
0.717 0.717 0.283
```

As for the total energy: -4.3423 eV/atom. Its space group is Fm-3m, No. 225. The calculated formation energy comes out at -2.590 eV per atom. For the total moment, the calculation gives 0.00 Bohr magnetons per cell.

=====

# 12
First-principles (PBE-GGA) data for a relaxed structure of CsFe4As3, as listed in the Materials Project database.

```
CsFe4As3
1.0
3.870 0.000 0.000
0.000 3.870 0.000
0.000 0.000 10.166
Cs Fe As
1 4 3
direct
0.000 0.000 0.000
0.000 0.500 0.367
0.000 0.500 0.633
0.500 0.000 0.367
0.500 0.000 0.633
0.000 0.000 0.500
0.500 0.500 0.242
0.500 0.500 0.758
```

As for the total energy: -6.1762 eV/atom. Its space group is P4/mmm, No. 123. The calculated formation energy comes out at -0.082 eV per atom. For the total moment, the calculation gives 4.77 Bohr magnetons per cell.

=====

# 13
First-principles (PBE-GGA) data for a relaxed structure of Cs3GaAs2, as listed in the Materials Project database.

```
Cs3GaAs2
1.0
11.583 0.000 0.000
0.000 9.026 0.000
-3.342 0.000 19.502
Cs Ga As
24 8 16
direct
0.078 0.048 0.242
0.078 0.452 0.742
0.154 0.528 0.969
0.154 0.972 0.469
0.259 0.092 0.924
0.259 0.408 0.424
0.293 0.121 0.660
0.293 0.379 0.160
0.360 0.746 0.292
0.360 0.754 0.792
0.375 0.579 0.611
0.375 0.921 0.111
0.625 0.079 0.889
0.625 0.421 0.389
0.640 0.246 0.208
0.640 0.254 0.708
0.707 0.621 0.840
0.707 0.879 0.340
0.741 0.592 0.576
0.741 0.908 0.076
0.846 0.028 0.531
0.846 0.472 0.031
0.922 0.548 0.258
0.922 0.952 0.758
0.046 0.619 0.556
0.046 0.881 0.056
0.461 0.056 0.424
0.461 0.444 0.924
0.539 0.556 0.076
0.539 0.944 0.576
0.954 0.119 0.944
0.954 0.381 0.444
0.046 0.156 0.065
0.046 0.344 0.565
0.105 0.700 0.142
0.105 0.800 0.642
0.399 0.143 0.309
0.399 0.357 0.809
0.492 0.704 0.968
0.492 0.796 0.468
0.508 0.204 0.532
0.508 0.296 0.032
0.601 0.643 0.191
0.601 0.857 0.691
0.895 0.200 0.358
0.895 0.300 0.858
0.954 0.656 0.435
0.954 0.844 0.935
```

As for the total energy: -2.9679 eV/atom. Its space group is P2_1/c, No. 14. The calculated formation energy comes out at -0.463 eV per atom.